# K3MoCl6

A relaxed K3MoCl6 crystal (GGA-PBE, the Materials Project database).

a b c (Å): 7.655 7.655 7.655
angles (deg): 60.00 60.00 60.00
Sites, in units of the cell vectors:
K  0.000  0.000  0.000
K  0.250  0.250  0.250
K  0.750  0.750  0.750
Mo  0.500  0.500  0.500
Cl  0.273  0.273  0.727
Cl  0.273  0.727  0.273
Cl  0.273  0.727  0.727
Cl  0.727  0.273  0.273
Cl  0.727  0.273  0.727
Cl  0.727  0.727  0.273

Properties
**Formation enthalpy at 0 K**: -18.5 eV/f.u.
**Polymorph energy (0 for the lowest one)**: 57 meV per atom
**Symmetry**: Fm-3m